1.
The following is a DFT calculation (PBE-GGA) of a relaxed structure of DySbPd.

Unit cell a=4.6042 b=4.6042 c=7.4279 alpha=90.00 beta=90.00 gamma=120.00
With the nearest neighbours (Å) after each atom.
Space group P6_3mc (No. 186)
Asymmetric unit:
Dy  0.0000  0.0000  0.0000 (multiplicity 2)  3 Pd 2.93, 3 Sb 3.15
Sb  0.3333  0.6667  0.2731 (multiplicity 2)  4 Pd 2.78-2.91
Pd  0.3333  0.6667  0.6652 (multiplicity 2)  4 Sb 2.78-2.91, 3 Dy 2.93

Properties
- Formation energy: -312 kJ/mol of formula units



2.
The following is a DFT calculation (PBE-GGA) of a relaxed structure of Dy3Sb4Pd8.

Unit cell a=13.2656 b=13.2656 c=13.2656 alpha=90.00 beta=90.00 gamma=90.00
With the nearest neighbours (Å) after each atom.
Space group Fm-3m (No. 225)
Asymmetric unit:
Dy  0.0000  0.0000  0.2245 (multiplicity 24)  5 Sb 2.98-3.33, 8 Pd 3.05-3.22
Sb  0.0000  0.0000  0.0000 (multiplicity 4)  6 Dy 2.98
Sb  0.0000  0.0000  0.5000 (multiplicity 4)  8 Pd 2.73
Sb  0.0000  0.2500  0.2500 (multiplicity 24)  8 Pd 2.71-2.92
Pd  0.1188  0.1188  0.3812 (multiplicity 32)  4 Sb 2.73-2.92, 3 Pd 2.99, 3 Dy 3.05
Pd  0.1664  0.1664  0.1664 (multiplicity 32)  3 Sb 2.71, 3 Pd 2.99

Properties
- Formation energy: -1208 kJ/mol of formula units



3.
The following is a DFT calculation (PBE-GGA) of a relaxed structure of Dy3Si6Pd20.

Unit cell a=12.3313 b=12.3313 c=12.3313 alpha=90.00 beta=90.00 gamma=90.00
With the nearest neighbours (Å) after each atom.
Space group Fm-3m (No. 225)
Asymmetric unit:
Dy  0.0000  0.0000  0.0000 (multiplicity 4)  12 Pd 3.01, 6 Si 3.30
Dy  0.2500  0.2500  0.2500 (multiplicity 8)  4 Pd 2.85
Si  0.0000  0.0000  0.2675 (multiplicity 24)  8 Pd 2.43-2.49
Pd  0.0000  0.1726  0.1726 (multiplicity 48)  2 Si 2.43, 1 Pd 2.70
Pd  0.1165  0.1165  0.3835 (multiplicity 32)  3 Si 2.49

Properties
- Formation energy: -2330 kJ/mol of formula units



4.
The following is a DFT calculation (PBE-GGA) of a relaxed structure of DySiPd2.

Unit cell a=7.3539 b=6.9650 c=5.5444 alpha=90.00 beta=90.00 gamma=90.00
With the nearest neighbours (Å) after each atom.
Space group Pnma (No. 62)
Asymmetric unit:
Dy  0.0299  0.2500  0.1442 (multiplicity 4)  8 Pd 2.97-3.22, 3 Si 2.98-3.02
Si  0.1215  0.7500  0.3549 (multiplicity 4)  6 Pd 2.49-2.62
Pd  0.1781  0.0511  0.5937 (multiplicity 8)  3 Si 2.49-2.62, 1 Pd 2.77

Properties
- Formation energy: -380 kJ/mol of formula units



5.
The following is a DFT calculation (PBE-GGA) of a relaxed structure of DySi2Pd2.

Unit cell a=4.1422 b=4.1422 c=10.0276 alpha=90.00 beta=90.00 gamma=90.00
With the nearest neighbours (Å) after each atom.
Space group I4/mmm (No. 139)
Asymmetric unit:
Dy  0.0000  0.0000  0.0000 (multiplicity 2)  8 Si 3.15, 8 Pd 3.25
Si  0.0000  0.0000  0.3845 (multiplicity 4)  1 Si 2.32, 4 Pd 2.47
Pd  0.0000  0.5000  0.2500 (multiplicity 4)  4 Si 2.47

Properties
- Formation energy: -456 kJ/mol of formula units



6.
The following is a DFT calculation (PBE-GGA) of a relaxed structure of DyTlPd.

Unit cell a=7.8823 b=7.8823 c=3.7814 alpha=90.00 beta=90.00 gamma=120.00
With the nearest neighbours (Å) after each atom.
Space group P-62m (No. 189)
Asymmetric unit:
Dy  0.0000  0.4008  0.0000 (multiplicity 3)  5 Pd 3.06-3.16, 6 Tl 3.22-3.37
Tl  0.0000  0.7315  0.5000 (multiplicity 3)  4 Pd 2.84-2.92
Pd  0.0000  0.0000  0.0000 (multiplicity 1)  6 Tl 2.84, 3 Dy 3.16
Pd  0.3333  0.6667  0.5000 (multiplicity 2)  3 Tl 2.92, 6 Dy 3.06

Properties
- Formation energy: -191 kJ/mol of formula units



Among the records above, which one has the highest formation energy?
DyTlPd



What is the formation energy in the sixth record?
-191 kJ/mol of formula units



Which value of formation energy does entry 1 give?
-312 kJ/mol of formula units